Computed, not measured: crystalline Dy2Te4O11 at its relaxed geometry at the PBE-GGA level of DFT.

As for the total magnetic moment: 0.00 μB per formula unit. As for the crystal system: triclinic.

Cell lengths 5.1757, 6.7635, 16.0670 Å; angles 80.00, 80.73, 67.50 degrees
Space group P1 (No. 1)
Unique sites:
Dy1 0.0000 0.0000 0.0000 [1 per cell]
Dy2 0.2225 0.0901 0.4328 [1 per cell]
Dy3 0.4805 0.5033 0.5000 [1 per cell]
Dy4 0.7372 0.5865 0.9330 [1 per cell]
Te1 0.1941 0.4106 0.0874 [1 per cell]
Te2 0.2159 0.7499 0.7676 [1 per cell]
Te3 0.5087 0.8478 0.1614 [1 per cell]
Te4 0.5138 0.1680 0.8418 [1 per cell]
Te5 0.7509 0.2581 0.2704 [1 per cell]
Te6 0.7668 0.9042 0.5926 [1 per cell]
Te7 0.9607 0.6645 0.3412 [1 per cell]
Te8 0.9626 0.3374 0.6601 [1 per cell]
O1 0.0178 0.3284 0.0170 [1 per cell]
O2 0.0452 0.9281 0.3325 [1 per cell]
O3 0.1198 0.8216 0.5199 [1 per cell]
O4 0.1554 0.9326 0.1324 [1 per cell]
O5 0.1647 0.4228 0.8377 [1 per cell]
O6 0.1946 0.4676 0.4236 [1 per cell]
O7 0.2107 0.0416 0.7187 [1 per cell]
O8 0.2821 0.4246 0.6292 [1 per cell]
O9 0.3104 0.6006 0.0108 [1 per cell]
O10 0.4114 0.9601 0.9245 [1 per cell]
O11 0.4552 0.1546 0.2983 [1 per cell]
O12 0.4972 0.5546 0.2170 [1 per cell]
O13 0.5375 0.1018 0.5111 [1 per cell]
O14 0.5575 0.1463 0.0945 [1 per cell]
O15 0.5700 0.6641 0.7957 [1 per cell]
O16 0.6079 0.7599 0.4144 [1 per cell]
O17 0.6815 0.6479 0.5902 [1 per cell]
O18 0.6868 0.2508 0.9139 [1 per cell]
O19 0.7571 0.7330 0.0643 [1 per cell]
O20 0.7984 0.3310 0.3735 [1 per cell]
O21 0.9179 0.2523 0.5613 [1 per cell]
O22 0.9714 0.8304 0.8677 [1 per cell]

=====

Computed, not measured: crystalline KNaBi2O6 at its relaxed geometry at the PBE-GGA level of DFT.

As for the total magnetic moment: 0.22 μB per formula unit. As for the crystal system: tetragonal.

Cell lengths 4.2551, 4.2551, 8.5291 Å; angles 90.00, 90.00, 90.00 degrees
Space group P4/mmm (No. 123)
Unique sites:
K1 0.0000 0.0000 0.0000 [1 per cell]
Na1 0.0000 0.0000 0.5000 [1 per cell]
Bi1 0.5000 0.5000 0.2507 [2 per cell]
O1 0.0000 0.5000 0.2510 [4 per cell]
O2 0.5000 0.5000 0.0000 [1 per cell]
O3 0.5000 0.5000 0.5000 [1 per cell]

=====

Computed, not measured: crystalline TiCrCuS4 at its relaxed geometry at the PBE-GGA level of DFT.

As for the total magnetic moment: 3.00 μB per formula unit. As for the crystal system: triclinic.

Cell lengths 6.3519, 7.3055, 12.1859 Å; angles 98.44, 94.75, 90.12 degrees
Space group P1 (No. 1)
Unique sites:
Ti1 0.0000 0.0000 0.0000 [1 per cell]
Ti2 0.0807 0.1858 0.7004 [1 per cell]
Ti3 0.4905 0.7370 0.9956 [1 per cell]
Ti4 0.7161 0.5944 0.4042 [1 per cell]
Cr1 0.2237 0.3407 0.4046 [1 per cell]
Cr2 0.2255 0.8552 0.4080 [1 per cell]
Cr3 0.4817 0.2485 0.9932 [1 per cell]
Cr4 0.6145 0.4142 0.7003 [1 per cell]
Cu1 0.1107 0.6686 0.7026 [1 per cell]
Cu2 0.6023 0.9223 0.6959 [1 per cell]
Cu3 0.7302 0.0964 0.4042 [1 per cell]
Cu4 0.9860 0.4941 0.9964 [1 per cell]
S1 0.0514 0.0768 0.3359 [1 per cell]
S2 0.0520 0.5832 0.3381 [1 per cell]
S3 0.1682 0.7581 0.0706 [1 per cell]
S4 0.1690 0.2683 0.0727 [1 per cell]
S5 0.2485 0.8974 0.5918 [1 per cell]
S6 0.2697 0.3899 0.5926 [1 per cell]
S7 0.4576 0.1998 0.8043 [1 per cell]
S8 0.4643 0.6879 0.8056 [1 per cell]
S9 0.5425 0.3238 0.3337 [1 per cell]
S10 0.5416 0.8341 0.3358 [1 per cell]
S11 0.6658 0.0155 0.0678 [1 per cell]
S12 0.6682 0.5117 0.0696 [1 per cell]
S13 0.7525 0.6415 0.5936 [1 per cell]
S14 0.7559 0.1490 0.5945 [1 per cell]
S15 0.9523 0.4478 0.8061 [1 per cell]
S16 0.9677 0.9483 0.8115 [1 per cell]

=====

Computed, not measured: crystalline Ca2Zn3Ga at its relaxed geometry at the PBE-GGA level of DFT.

As for the crystal system: monoclinic.

Cell lengths 10.6396, 4.5507, 7.3782 Å; angles 90.00, 133.35, 90.00 degrees
Space group Cm (No. 8)
Unique sites:
Ca1 0.0000 0.0000 0.0000 [2 per cell]
Ca2 0.0878 0.0000 0.5896 [2 per cell]
Zn1 0.2083 0.5000 0.0167 [2 per cell]
Zn2 0.3781 0.0000 0.5770 [2 per cell]
Zn3 0.3791 0.0000 0.1823 [2 per cell]
Ga1 0.2079 0.5000 0.4039 [2 per cell]

=====

Computed, not measured: crystalline NiAgSe2 at its relaxed geometry at the PBE-GGA level of DFT.

As for the total magnetic moment: 0.10 μB per formula unit. As for the crystal system: trigonal.

Cell lengths 3.6413, 3.6413, 20.7610 Å; angles 90.00, 90.00, 120.00 degrees
Space group R3m (No. 160, hexagonal axes)
Unique sites:
Ni1 0.0000 0.0000 0.0000 [3 per cell]
Ag1 0.0000 0.0000 0.8482 [3 per cell]
Se1 0.0000 0.0000 0.2715 [3 per cell]
Se2 0.0000 0.0000 0.7248 [3 per cell]

=====

Computed, not measured: crystalline CuNF3 at its relaxed geometry at the PBE-GGA level of DFT.

As for the total magnetic moment: 2.32 μB per formula unit. As for the crystal system: cubic.

Cell lengths 3.8878, 3.8878, 3.8878 Å; angles 90.00, 90.00, 90.00 degrees
Space group Pm-3m (No. 221)
Unique sites:
Cu1 0.0000 0.0000 0.0000 [1 per cell]
N1 0.5000 0.5000 0.5000 [1 per cell]
F1 0.0000 0.0000 0.5000 [3 per cell]

=====

Computed, not measured: crystalline LuGaO3 at its relaxed geometry at the PBE-GGA level of DFT.

As for the crystal system: hexagonal.

Cell lengths 6.0002, 6.0002, 11.6708 Å; angles 90.00, 90.00, 120.00 degrees
Space group P6_3cm (No. 185)
Unique sites:
Lu1 0.0000 0.0000 0.0000 [2 per cell]
Lu2 0.3333 0.6667 0.4595 [4 per cell]
Ga1 0.0000 0.3341 0.2262 [6 per cell]
O1 0.0000 0.0000 0.2012 [2 per cell]
O2 0.0000 0.3062 0.3912 [6 per cell]
O3 0.0000 0.3605 0.0628 [6 per cell]
O4 0.3333 0.6667 0.2478 [4 per cell]

=====

Computed, not measured: crystalline SiO2 at its relaxed geometry at the PBE-GGA level of DFT.

As for the crystal system: orthorhombic.

Cell lengths 16.9052, 20.3878, 5.2030 Å; angles 90.00, 90.00, 90.00 degrees
Space group C222 (No. 21)
Unique sites:
Si1 0.0921 0.1210 0.0344 [8 per cell]
Si2 0.0923 0.2788 0.0285 [8 per cell]
Si3 0.1840 0.0762 0.5332 [8 per cell]
Si4 0.1891 0.3115 0.5313 [8 per cell]
O1 0.0000 0.1005 0.0000 [4 per cell]
O2 0.0000 0.2991 0.0000 [4 per cell]
O3 0.1028 0.1998 0.0039 [8 per cell]
O4 0.1187 0.0976 0.3195 [8 per cell]
O5 0.1238 0.3041 0.3052 [8 per cell]
O6 0.1436 0.3142 0.8053 [8 per cell]
O7 0.1462 0.0854 0.8183 [8 per cell]
O8 0.2091 0.0000 0.5000 [4 per cell]
O9 0.2368 0.3799 0.4963 [8 per cell]
O10 0.2500 0.2500 0.5224 [4 per cell]

=====

Computed, not measured: crystalline NpB3O8 at its relaxed geometry at the PBE-GGA level of DFT.

As for the total magnetic moment: 0.03 μB per formula unit. As for the crystal system: orthorhombic.

Cell lengths 12.8135, 8.7439, 5.6276 Å; angles 90.00, 90.00, 90.00 degrees
Space group Pca2_1 (No. 29)
Unique sites:
Np1 0.1283 0.0501 0.0000 [4 per cell]
B1 0.0841 0.7323 0.7533 [4 per cell]
B2 0.0850 0.3737 0.1093 [4 per cell]
B3 0.0858 0.5516 0.4365 [4 per cell]
O1 0.0219 0.4531 0.9393 [4 per cell]
O2 0.0228 0.2472 0.2299 [4 per cell]
O3 0.0312 0.0644 0.7626 [4 per cell]
O4 0.1328 0.8195 0.9299 [4 per cell]
O5 0.1393 0.4665 0.2759 [4 per cell]
O6 0.1399 0.6448 0.5986 [4 per cell]
O7 0.1638 0.2693 0.9782 [4 per cell]
O8 0.2171 0.0217 0.2567 [4 per cell]

=====

How do the records compare in formation energy from the elements? In the order shown, they have -2.270 -1.426 -0.962 -0.371 -0.375 -0.246 -3.220 -3.259 -2.800 eV per atom.